# ZnS

A relaxed ZnS crystal (PBE, the Materials Project).

Properties
Its space group is P1 (1). For the formation energy from the elements, the calculation gives -640 meV/atom. As for the theoretical density: 3.27 g/cm3.

Structure (CIF):
```
data_ZnS
_cell_length_a 13.644
_cell_length_b 14.045
_cell_length_c 13.213
_cell_angle_alpha 100.99
_cell_angle_beta 92.97
_cell_angle_gamma 92.67
_symmetry_space_group_name_H-M 'P 1'
_symmetry_Int_Tables_number 1
loop_
_symmetry_equiv_pos_as_xyz
'x,y,z'
loop_
_atom_site_label
_atom_site_type_symbol
_atom_site_fract_x
_atom_site_fract_y
_atom_site_fract_z
_atom_site_occupancy
S1 S 0.094 0.306 0.210 1
S2 S 0.486 0.505 0.840 1
S3 S 0.050 0.538 0.349 1
S4 S 0.051 0.912 0.164 1
S5 S 0.068 0.695 0.897 1
S6 S 0.572 0.216 0.305 1
S7 S 0.878 0.581 0.527 1
S8 S 0.667 0.618 0.705 1
S9 S 0.850 0.040 0.886 1
S10 S 0.249 0.112 0.113 1
S11 S 0.082 0.402 0.974 1
S12 S 0.697 0.718 0.453 1
S13 S 0.926 0.502 0.769 1
S14 S 0.923 0.681 0.156 1
S15 S 0.570 0.423 0.112 1
S16 S 0.445 0.771 0.151 1
S17 S 0.939 0.354 0.995 1
S18 S 0.212 0.579 0.155 1
S19 S 0.102 0.926 0.886 1
S20 S 0.520 0.854 0.640 1
S21 S 0.697 0.057 0.675 1
S22 S 0.708 0.416 0.883 1
S23 S 0.681 0.226 0.032 1
S24 S 0.341 0.371 0.288 1
S25 S 0.614 0.803 0.947 1
S26 S 0.281 0.739 0.495 1
S27 S 0.364 0.895 0.833 1
S28 S 0.801 0.382 0.249 1
S29 S 0.212 0.490 0.505 1
S30 S 0.417 0.110 0.583 1
S31 S 0.017 0.818 0.434 1
S32 S 0.173 0.147 0.401 1
S33 S 0.397 0.663 0.422 1
S34 S 0.667 0.330 0.610 1
S35 S 0.853 0.162 0.481 1
S36 S 0.582 0.949 0.394 1
S37 S 0.293 0.686 0.758 1
S38 S 0.738 0.560 0.962 1
S39 S 0.583 0.480 0.408 1
S40 S 0.960 0.233 0.755 1
S41 S 0.518 0.564 0.132 1
S42 S 0.786 0.072 0.233 1
S43 S 0.189 0.440 0.761 1
S44 S 0.343 0.446 0.572 1
S45 S 0.284 0.924 0.332 1
S46 S 0.905 0.807 0.705 1
S47 S 0.134 0.222 0.545 1
S48 S 0.238 0.185 0.832 1
S49 S 0.703 0.971 0.113 1
S50 S 0.430 0.041 0.872 1
Zn1 Zn 0.887 0.491 0.367 1
Zn2 Zn 0.106 0.193 0.059 1
Zn3 Zn 0.878 0.799 0.296 1
Zn4 Zn 0.301 0.060 0.454 1
Zn5 Zn 0.512 0.264 0.026 1
Zn6 Zn 0.125 0.086 0.890 1
Zn7 Zn 0.942 0.456 0.593 1
Zn8 Zn 0.123 0.300 0.812 1
Zn9 Zn 0.532 0.850 0.816 1
Zn10 Zn 0.713 0.226 0.206 1
Zn11 Zn 0.860 0.365 0.824 1
Zn12 Zn 0.733 0.182 0.604 1
Zn13 Zn 0.941 0.355 0.174 1
Zn14 Zn 0.119 0.396 0.590 1
Zn15 Zn 0.787 0.849 0.995 1
Zn16 Zn 0.358 0.108 0.738 1
Zn17 Zn 0.439 0.876 0.302 1
Zn18 Zn 0.207 0.441 0.220 1
Zn19 Zn 0.962 0.784 0.041 1
Zn20 Zn 0.795 0.592 0.809 1
Zn21 Zn 0.644 0.074 0.324 1
Zn22 Zn 0.772 0.701 0.609 1
Zn23 Zn 0.969 0.282 0.531 1
Zn24 Zn 0.362 0.166 0.000 1
Zn25 Zn 0.079 0.528 0.869 1
Zn26 Zn 0.039 0.709 0.711 1
Zn27 Zn 0.609 0.333 0.451 1
Zn28 Zn 0.727 0.849 0.367 1
Zn29 Zn 0.216 0.792 0.903 1
Zn30 Zn 0.116 0.871 0.313 1
Zn31 Zn 0.556 0.015 0.581 1
Zn32 Zn 0.313 0.826 0.077 1
Zn33 Zn 0.243 0.227 0.276 1
Zn34 Zn 0.176 0.944 0.064 1
Zn35 Zn 0.423 0.495 0.442 1
Zn36 Zn 0.598 0.638 0.884 1
Zn37 Zn 0.961 0.174 0.920 1
Zn38 Zn 0.061 0.625 0.218 1
Zn39 Zn 0.961 0.920 0.597 1
Zn40 Zn 0.514 0.384 0.257 1
Zn41 Zn 0.729 0.074 0.994 1
Zn42 Zn 0.350 0.528 0.746 1
Zn43 Zn 0.030 0.667 0.495 1
Zn44 Zn 0.609 0.446 0.734 1
Zn45 Zn 0.933 0.087 0.608 1
Zn46 Zn 0.184 0.648 0.607 1
Zn47 Zn 0.375 0.624 0.187 1
Zn48 Zn 0.547 0.730 0.507 1
Zn49 Zn 0.360 0.799 0.659 1
Zn50 Zn 0.928 0.895 0.890 1
```



# ZnS

A relaxed ZnS crystal (PBE, the Materials Project).

Properties
Its space group is P3m1 (156). For the formation energy from the elements, the calculation gives -1063 meV/atom. As for the theoretical density: 4.00 g/cm3.

Structure (CIF):
```
data_ZnS
_cell_length_a 3.853
_cell_length_b 3.853
_cell_length_c 138.504
_cell_angle_alpha 90.00
_cell_angle_beta 90.00
_cell_angle_gamma 120.00
_symmetry_space_group_name_H-M 'P 1'
_symmetry_Int_Tables_number 1
loop_
_symmetry_equiv_pos_as_xyz
'x,y,z'
loop_
_atom_site_label
_atom_site_type_symbol
_atom_site_fract_x
_atom_site_fract_y
_atom_site_fract_z
_atom_site_occupancy
Zn1 Zn 0.667 0.333 0.682 1
Zn2 Zn 0.333 0.667 0.864 1
Zn3 Zn 0.000 0.000 0.386 1
Zn4 Zn 0.333 0.667 0.659 1
Zn5 Zn 0.000 0.000 0.568 1
Zn6 Zn 0.333 0.667 0.000 1
Zn7 Zn 0.000 0.000 0.773 1
Zn8 Zn 0.667 0.333 0.023 1
Zn9 Zn 0.667 0.333 0.295 1
Zn10 Zn 0.667 0.333 0.409 1
Zn11 Zn 0.667 0.333 0.750 1
Zn12 Zn 0.333 0.667 0.205 1
Zn13 Zn 0.000 0.000 0.500 1
Zn14 Zn 0.333 0.667 0.341 1
Zn15 Zn 0.667 0.333 0.227 1
Zn16 Zn 0.000 0.000 0.114 1
Zn17 Zn 0.000 0.000 0.955 1
Zn18 Zn 0.667 0.333 0.091 1
Zn19 Zn 0.667 0.333 0.818 1
Zn20 Zn 0.333 0.667 0.591 1
Zn21 Zn 0.333 0.667 0.136 1
Zn22 Zn 0.333 0.667 0.932 1
Zn23 Zn 0.667 0.333 0.614 1
Zn24 Zn 0.000 0.000 0.455 1
Zn25 Zn 0.667 0.333 0.909 1
Zn26 Zn 0.333 0.667 0.432 1
Zn27 Zn 0.333 0.667 0.273 1
Zn28 Zn 0.000 0.000 0.318 1
Zn29 Zn 0.000 0.000 0.841 1
Zn30 Zn 0.333 0.667 0.795 1
Zn31 Zn 0.667 0.333 0.364 1
Zn32 Zn 0.000 0.000 0.250 1
Zn33 Zn 0.000 0.000 0.886 1
Zn34 Zn 0.667 0.333 0.159 1
Zn35 Zn 0.333 0.667 0.727 1
Zn36 Zn 0.667 0.333 0.977 1
Zn37 Zn 0.000 0.000 0.182 1
Zn38 Zn 0.667 0.333 0.545 1
Zn39 Zn 0.333 0.667 0.068 1
Zn40 Zn 0.333 0.667 0.523 1
Zn41 Zn 0.000 0.000 0.705 1
Zn42 Zn 0.000 0.000 0.045 1
Zn43 Zn 0.000 0.000 0.636 1
Zn44 Zn 0.667 0.333 0.477 1
S1 S 0.000 0.000 0.972 1
S2 S 0.333 0.667 0.676 1
S3 S 0.667 0.333 0.835 1
S4 S 0.667 0.333 0.767 1
S5 S 0.333 0.667 0.881 1
S6 S 0.000 0.000 0.472 1
S7 S 0.667 0.333 0.426 1
S8 S 0.000 0.000 0.790 1
S9 S 0.333 0.667 0.358 1
S10 S 0.667 0.333 0.176 1
S11 S 0.000 0.000 0.517 1
S12 S 0.333 0.667 0.222 1
S13 S 0.000 0.000 0.903 1
S14 S 0.000 0.000 0.403 1
S15 S 0.333 0.667 0.812 1
S16 S 0.333 0.667 0.449 1
S17 S 0.000 0.000 0.131 1
S18 S 0.333 0.667 0.017 1
S19 S 0.333 0.667 0.290 1
S20 S 0.667 0.333 0.631 1
S21 S 0.667 0.333 0.244 1
S22 S 0.667 0.333 0.562 1
S23 S 0.333 0.667 0.085 1
S24 S 0.000 0.000 0.722 1
S25 S 0.000 0.000 0.062 1
S26 S 0.667 0.333 0.312 1
S27 S 0.333 0.667 0.153 1
S28 S 0.000 0.000 0.267 1
S29 S 0.333 0.667 0.949 1
S30 S 0.000 0.000 0.335 1
S31 S 0.667 0.333 0.699 1
S32 S 0.667 0.333 0.494 1
S33 S 0.667 0.333 0.994 1
S34 S 0.000 0.000 0.858 1
S35 S 0.667 0.333 0.381 1
S36 S 0.667 0.333 0.040 1
S37 S 0.333 0.667 0.608 1
S38 S 0.333 0.667 0.540 1
S39 S 0.333 0.667 0.744 1
S40 S 0.000 0.000 0.199 1
S41 S 0.000 0.000 0.585 1
S42 S 0.667 0.333 0.926 1
S43 S 0.000 0.000 0.653 1
S44 S 0.667 0.333 0.108 1
```